[1]
# Na2H4S3O12, optimized geometry, DFT PBE
# - MP2020-corrected energy (eV per formula unit) = -125.48
# - DFT formation energy (eV/atom) = -1.7849
data_Na2H4S3O12
_chemical_formula_sum 'Na8 H16 S12 O48'
_space_group_name_H-M_alt 'P n a 21'
_space_group_IT_number 33
_cell_length_a 10.2621
_cell_length_b 7.0026
_cell_length_c 14.1536
_cell_angle_alpha 90.00
_cell_angle_beta 90.00
_cell_angle_gamma 90.00
loop_
_space_group_symop_operation_xyz
'x,y,z'
'-x,-y,z+1/2'
'-x+1/2,y+1/2,z+1/2'
'x+1/2,-y+1/2,z'
loop_
_atom_site_label
_atom_site_fract_x
_atom_site_fract_y
_atom_site_fract_z
_atom_site_occupancy
Na1 0.1307 0.2418 0.0000 1
Na2 0.1591 0.3846 0.6444 1
H1 0.0381 0.0829 0.4063 1
H2 0.0603 0.0857 0.1984 1
H3 0.1785 0.6724 0.8485 1
H4 0.2429 0.5490 0.3213 1
S1 0.0787 0.7073 0.9787 1
S2 0.0933 0.7742 0.3131 1
S3 0.1456 0.8673 0.6679 1
O1 0.0058 0.1821 0.1627 1
O2 0.0083 0.6392 0.2664 1
O3 0.0330 0.8683 0.3963 1
O4 0.0363 0.5651 0.0458 1
O5 0.0386 0.2300 0.4173 1
O6 0.1465 0.8742 0.0137 1
O7 0.1522 0.9184 0.2497 1
O8 0.1665 0.0563 0.6282 1
O9 0.1664 0.5927 0.9075 1
O10 0.1845 0.8592 0.7693 1
O11 0.2019 0.7112 0.6125 1
O12 0.2111 0.6608 0.3604 1

***

[2]
# NaH3SO5, optimized geometry, DFT PBE
# - MP2020-corrected energy (eV per formula unit) = -57.51
# - maximum piezoelectric response (C/m2) = 0.285
# - DFT formation energy (eV/atom) = -1.7136
data_NaH3SO5
_chemical_formula_sum 'Na4 H12 S4 O20'
_space_group_name_H-M_alt 'C 1 c 1'
_space_group_IT_number 9
_cell_length_a 7.9224
_cell_length_b 7.9483
_cell_length_c 8.0282
_cell_angle_alpha 90.00
_cell_angle_beta 117.37
_cell_angle_gamma 90.00
loop_
_space_group_symop_operation_xyz
'x,y,z'
'x,-y,z+1/2'
'x+1/2,y+1/2,z'
'x+1/2,-y+1/2,z+1/2'
loop_
_atom_site_label
_atom_site_fract_x
_atom_site_fract_y
_atom_site_fract_z
_atom_site_occupancy
Na1 0.0000 0.0366 0.0000 1
H1 0.1141 0.4597 0.0076 1
H2 0.1599 0.1974 0.7831 1
H3 0.4468 0.2468 0.1876 1
S1 0.4827 0.1168 0.7560 1
O1 0.0293 0.1549 0.7413 1
O2 0.0715 0.3224 0.1407 1
O3 0.1589 0.4670 0.4320 1
O4 0.3434 0.0169 0.1649 1
O5 0.4115 0.2543 0.8276 1

***

[3]
# Na3SbH18S4O9, optimized geometry, DFT PBE
# - MP2020-corrected energy (eV per formula unit) = -172.68
# - DFT formation energy (eV/atom) = -1.2125
data_Na3SbH18S4O9
_chemical_formula_sum 'Na12 Sb4 H72 S16 O36'
_space_group_name_H-M_alt 'P 21 3'
_space_group_IT_number 198
_space_group_name_Hall 'P 2ac 2ab 3'
_cell_length_a 12.0149
_cell_length_b 12.0149
_cell_length_c 12.0149
_cell_angle_alpha 90.00
_cell_angle_beta 90.00
_cell_angle_gamma 90.00
loop_
_atom_site_label
_atom_site_fract_x
_atom_site_fract_y
_atom_site_fract_z
_atom_site_occupancy
Na1 0.0497 0.4503 0.5497 1
Na2 0.1051 0.1051 0.1051 1
Na3 0.2080 0.2920 0.7080 1
Sb1 0.0377 0.9623 0.4623 1
H1 0.0208 0.7001 0.5825 1
H2 0.0222 0.7446 0.8401 1
H3 0.0417 0.8271 0.7398 1
H4 0.0466 0.7791 0.2260 1
H5 0.0577 0.6956 0.1263 1
H6 0.0770 0.1316 0.8597 1
S1 0.0761 0.5761 0.9239 1
S2 0.0788 0.3539 0.1539 1
O1 0.0062 0.3134 0.6946 1
O2 0.0277 0.1344 0.9260 1
O3 0.0999 0.7504 0.1696 1

***

[4]
# NaTbH2S2O9, optimized geometry, DFT PBE
# - MP2020-corrected energy (eV per formula unit) = -99.70
# - DFT formation energy (eV/atom) = -2.2771
data_NaTbH2S2O9
_chemical_formula_sum 'Na3 Tb3 H6 S6 O27'
_space_group_name_H-M_alt 'P 31 2 1'
_space_group_IT_number 152
_cell_length_a 6.9805
_cell_length_b 6.9805
_cell_length_c 12.7977
_cell_angle_alpha 90.00
_cell_angle_beta 90.00
_cell_angle_gamma 120.00
loop_
_space_group_symop_operation_xyz
'x,y,z'
'-y,x-y,z+1/3'
'-x+y,-x,z+2/3'
'y,x,-z'
'x-y,-y,-z+2/3'
'-x,-x+y,-z+1/3'
loop_
_atom_site_label
_atom_site_fract_x
_atom_site_fract_y
_atom_site_fract_z
_atom_site_occupancy
Na1 0.0000 0.4723 0.1667 1
Tb1 0.0000 0.4413 0.6667 1
H1 0.0361 0.9304 0.0361 1
S1 0.0139 0.4578 0.9070 1
O1 0.0000 0.0988 0.6667 1
O2 0.1246 0.3860 0.4946 1
O3 0.1252 0.6210 0.3514 1
O4 0.1323 0.6460 0.8324 1
O5 0.1709 0.4176 0.9685 1

***

[5]
# Na2TeH5SO10, optimized geometry, DFT PBE
# - MP2020-corrected energy (eV per formula unit) = -105.79
# - DFT formation energy (eV/atom) = -1.5485
data_Na2TeH5SO10
_chemical_formula_sum 'Na8 Te4 H20 S4 O40'
_space_group_name_H-M_alt 'C 1 c 1'
_space_group_IT_number 9
_cell_length_a 5.4794
_cell_length_b 10.3980
_cell_length_c 15.3624
_cell_angle_alpha 90.00
_cell_angle_beta 94.05
_cell_angle_gamma 90.00
loop_
_space_group_symop_operation_xyz
'x,y,z'
'x,-y,z+1/2'
'x+1/2,y+1/2,z'
'x+1/2,-y+1/2,z+1/2'
loop_
_atom_site_label
_atom_site_fract_x
_atom_site_fract_y
_atom_site_fract_z
_atom_site_occupancy
Na1 0.0000 0.0741 0.0000 1
Na2 0.3783 0.2570 0.3086 1
Te1 0.0345 0.4891 0.1915 1
H1 0.0903 0.0082 0.6754 1
H2 0.2214 0.3833 0.0657 1
H3 0.3659 0.2349 0.6977 1
H4 0.3813 0.4646 0.8035 1
H5 0.4885 0.2063 0.1213 1
S1 0.4264 0.2536 0.9377 1
O1 0.0329 0.3020 0.2091 1
O2 0.0759 0.3214 0.6784 1
O3 0.1754 0.2990 0.4356 1
O4 0.1789 0.4745 0.0803 1
O5 0.2108 0.0120 0.6289 1
O6 0.2470 0.1743 0.8827 1
O7 0.3412 0.2484 0.0292 1
O8 0.3687 0.4804 0.2499 1
O9 0.4001 0.0325 0.2991 1
O10 0.4209 0.3893 0.9074 1

***

[6]
# Na2TeH6SO10, optimized geometry, DFT PBE
# - MP2020-corrected energy (eV per formula unit) = -112.27
# - DFT formation energy (eV/atom) = -1.6257
data_Na2TeH6SO10
_chemical_formula_sum 'Na8 Te4 H24 S4 O40'
_space_group_name_H-M_alt 'C 1 c 1'
_space_group_IT_number 9
_cell_length_a 5.5196
_cell_length_b 10.4177
_cell_length_c 15.4456
_cell_angle_alpha 90.00
_cell_angle_beta 94.92
_cell_angle_gamma 90.00
loop_
_space_group_symop_operation_xyz
'x,y,z'
'x,-y,z+1/2'
'x+1/2,y+1/2,z'
'x+1/2,-y+1/2,z+1/2'
loop_
_atom_site_label
_atom_site_fract_x
_atom_site_fract_y
_atom_site_fract_z
_atom_site_occupancy
Na1 0.0000 0.0793 0.0000 1
Na2 0.1203 0.2529 0.1916 1
Te1 0.4606 0.0145 0.3118 1
H1 0.0037 0.2997 0.3805 1
H2 0.1206 0.0313 0.6968 1
H3 0.1286 0.2614 0.8081 1
H4 0.1382 0.4403 0.6712 1
H5 0.2836 0.1202 0.4377 1
H6 0.4042 0.4902 0.8242 1
S1 0.0670 0.2403 0.5644 1
O1 0.0709 0.1031 0.5908 1
O2 0.0926 0.4782 0.2020 1
O3 0.1320 0.0232 0.2506 1
O4 0.1541 0.2515 0.4742 1
O5 0.2450 0.3154 0.6237 1
O6 0.2879 0.4872 0.8707 1
O7 0.3212 0.2047 0.0663 1
O8 0.3222 0.0289 0.4217 1
O9 0.4233 0.1727 0.8223 1
O10 0.4627 0.2015 0.2970 1